Record 1
Here is a relaxed structure of PrFeAsO from the Materials Project. Energies are from PBE with a Hubbard U.

a = 4.095 Å, b = 4.095 Å, c = 9.259 Å
α = 90.00°, β = 90.00°, γ = 90.00°
Space group P4/nmm (No. 129, origin choice 2)
Asymmetric unit:
Pr  0.250  0.250  0.129 [2 per cell]
Fe  0.250  0.750  0.500 [2 per cell]
As  0.250  0.250  0.677 [2 per cell]
O  0.250  0.750  0.000 [2 per cell]

=====

Record 2
Here is a relaxed structure of Fe2AsSO14 from the Materials Project. Energies are from PBE with a Hubbard U.

a = 6.312 Å, b = 19.294 Å, c = 11.150 Å
α = 90.00°, β = 114.35°, γ = 90.00°
Space group P2_1/c (No. 14)
Asymmetric unit:
Fe  0.103  0.027  0.307 [4 per cell]
Fe  0.278  0.611  0.465 [4 per cell]
As  0.477  0.509  0.297 [4 per cell]
S  0.005  0.243  0.560 [4 per cell]
O  0.023  0.591  0.318 [4 per cell]
O  0.040  0.552  0.693 [4 per cell]
O  0.046  0.213  0.448 [4 per cell]
O  0.104  0.694  0.885 [4 per cell]
O  0.163  0.696  0.503 [4 per cell]
O  0.175  0.079  0.448 [4 per cell]
O  0.187  0.009  0.695 [4 per cell]
O  0.227  0.230  0.160 [4 per cell]
O  0.257  0.553  0.901 [4 per cell]
O  0.361  0.241  0.953 [4 per cell]
O  0.383  0.566  0.633 [4 per cell]
O  0.417  0.036  0.316 [4 per cell]
O  0.463  0.218  0.063 [4 per cell]
O  0.488  0.072  0.086 [4 per cell]

=====

Record 3
Here is a relaxed structure of Fe2AsSO9 from the Materials Project. Energies are from PBE with a Hubbard U.

a = 5.199 Å, b = 5.280 Å, c = 7.662 Å
α = 75.24°, β = 73.09°, γ = 85.99°
Space group P1 (No. 1)
Asymmetric unit:
Fe  0.000  0.000  0.000 [1 per cell]
Fe  0.408  0.401  0.601 [1 per cell]
As  0.350  0.034  0.303 [1 per cell]
S  0.613  0.808  0.792 [1 per cell]
O  0.075  0.056  0.219 [1 per cell]
O  0.126  0.291  0.809 [1 per cell]
O  0.321  0.294  0.404 [1 per cell]
O  0.323  0.751  0.474 [1 per cell]
O  0.347  0.777  0.935 [1 per cell]
O  0.630  0.080  0.116 [1 per cell]
O  0.643  0.069  0.655 [1 per cell]
O  0.650  0.593  0.691 [1 per cell]
O  0.837  0.770  0.881 [1 per cell]

=====

Record 4
Here is a relaxed structure of Sr3Sc2Fe2As2O5 from the Materials Project. Energies are from PBE with a Hubbard U.

a = 4.149 Å, b = 4.149 Å, c = 27.981 Å
α = 90.00°, β = 90.00°, γ = 90.00°
Space group I4/mmm (No. 139)
Asymmetric unit:
Sr  0.000  0.000  0.000 [2 per cell]
Sr  0.000  0.000  0.134 [4 per cell]
Sc  0.000  0.000  0.429 [4 per cell]
Fe  0.000  0.500  0.250 [4 per cell]
As  0.000  0.000  0.307 [4 per cell]
O  0.000  0.000  0.500 [2 per cell]
O  0.000  0.500  0.080 [8 per cell]

=====

Record 5
Here is a relaxed structure of Sr2ScFeAsO3 from the Materials Project. Energies are from PBE with a Hubbard U.

a = 4.127 Å, b = 4.127 Å, c = 16.335 Å
α = 90.00°, β = 90.00°, γ = 90.00°
Space group P4/nmm (No. 129, origin choice 2)
Asymmetric unit:
Sr  0.250  0.250  0.083 [2 per cell]
Sr  0.250  0.250  0.302 [2 per cell]
Sc  0.250  0.250  0.812 [2 per cell]
Fe  0.250  0.750  0.500 [2 per cell]
As  0.250  0.250  0.599 [2 per cell]
O  0.250  0.250  0.935 [2 per cell]
O  0.250  0.750  0.207 [4 per cell]

=====

Record 6
Here is a relaxed structure of Sm2Fe2As2O from the Materials Project. Energies are from PBE with a Hubbard U.

a = 3.992 Å, b = 3.992 Å, c = 8.088 Å
α = 90.00°, β = 90.00°, γ = 90.00°
Space group P-4m2 (No. 115)
Asymmetric unit:
Sm  0.000  0.500  0.161 [2 per cell]
Fe  0.000  0.000  0.500 [1 per cell]
Fe  0.500  0.500  0.500 [1 per cell]
As  0.000  0.500  0.682 [2 per cell]
O  0.500  0.500  0.000 [1 per cell]

=====

| no. | ΔH_f (0 K) (eV per atom) |
| --- | --- |
| 1 | -1.4917 |
| 2 | -0.4961 |
| 3 | -1.5437 |
| 4 | -2.2921 |
| 5 | -2.4727 |
| 6 | -0.9344 |